No. 1
Entry from the Materials Project database: crystalline KAlCl2O at its relaxed geometry (PBE).

POSCAR file:
```
KAlCl2O
1.0
5.8012 0.0000 0.0000
0.0000 6.3831 0.0000
0.0000 0.6377 6.7727
K Cl O Al
2 4 2 2
Direct
0.5064 0.6009 0.7831 K
0.0064 0.3991 0.2169 K
0.0039 0.8432 0.9149 Cl
0.0035 0.3676 0.7021 Cl
0.5039 0.1568 0.0851 Cl
0.5035 0.6324 0.2979 Cl
0.2402 0.9997 0.4913 O
0.7402 0.0003 0.5087 O
0.4960 0.9690 0.3742 Al
0.9960 0.0310 0.6258 Al
```

Results
* energy of formation: -2.26 eV/atom

No. 2
Entry from the Materials Project database: crystalline LiAlCl4 at its relaxed geometry (PBE).

POSCAR file:
```
LiAlCl4
1.0
6.8749 0.0000 0.0000
0.0000 7.0559 0.0000
0.0000 0.6014 13.1547
Cl Al Li
16 4 4
Direct
0.1882 0.0766 0.8104 Cl
0.6931 0.6960 0.4535 Cl
0.3822 0.8145 0.0730 Cl
0.1772 0.5633 0.3168 Cl
0.8069 0.6960 0.9535 Cl
0.1178 0.8145 0.5730 Cl
0.8118 0.9234 0.1896 Cl
0.6772 0.4367 0.1832 Cl
0.6882 0.9234 0.6896 Cl
0.3118 0.0766 0.3104 Cl
0.6178 0.1855 0.9270 Cl
0.3228 0.5633 0.8168 Cl
0.1931 0.3040 0.0465 Cl
0.3069 0.3040 0.5465 Cl
0.8228 0.4367 0.6832 Cl
0.8822 0.1855 0.4270 Cl
0.1748 0.2932 0.3987 Al
0.6748 0.7068 0.1013 Al
0.8252 0.7068 0.6013 Al
0.3252 0.2932 0.8987 Al
0.5201 0.8457 0.8680 Li
0.0201 0.1543 0.6320 Li
0.9799 0.8457 0.3680 Li
0.4799 0.1543 0.1320 Li
```

Results
* energy of formation: -2.06 eV/atom

No. 3
Entry from the Materials Project database: crystalline LiAlS3Cl4O6 at its relaxed geometry (PBE).

POSCAR file:
```
LiAlS3Cl4O6
1.0
-1.5552 -2.3190 9.3517
-6.2114 -7.6108 -2.9203
10.6740 -8.5764 -0.3516
Cl O S Al Li
16 24 12 4 4
Direct
0.1234 0.4219 0.0905 Cl
0.3766 0.9219 0.5905 Cl
0.7190 0.7500 0.7168 Cl
0.8766 0.5781 0.9095 Cl
0.3766 0.5781 0.5905 Cl
0.5721 0.7500 0.9554 Cl
0.0721 0.7500 0.5446 Cl
0.6234 0.4219 0.4095 Cl
0.2190 0.7500 0.7832 Cl
0.6234 0.0781 0.4095 Cl
0.4279 0.2500 0.0446 Cl
0.9279 0.2500 0.4554 Cl
0.8766 0.9219 0.9095 Cl
0.7810 0.2500 0.2168 Cl
0.2810 0.2500 0.2832 Cl
0.1234 0.0781 0.0905 Cl
0.0035 0.0916 0.6806 O
0.0064 0.7500 0.1295 O
0.7412 0.2500 0.8882 O
0.9965 0.5916 0.3194 O
0.2412 0.2500 0.6118 O
0.7588 0.7500 0.3882 O
0.2496 0.6062 0.3167 O
0.0035 0.4084 0.6806 O
0.7496 0.6062 0.1833 O
0.4936 0.2500 0.6295 O
0.7504 0.1062 0.6833 O
0.4965 0.9084 0.1806 O
0.7504 0.3938 0.6833 O
0.5035 0.0916 0.8194 O
0.2588 0.7500 0.1118 O
0.2496 0.8938 0.3167 O
0.4965 0.5916 0.1806 O
0.5035 0.4084 0.8194 O
0.2504 0.1062 0.8167 O
0.2504 0.3938 0.8167 O
0.9965 0.9084 0.3194 O
0.9936 0.2500 0.8705 O
0.7496 0.8938 0.1833 O
0.5064 0.7500 0.3705 O
0.8725 0.0427 0.6460 S
0.6275 0.5427 0.1460 S
0.3752 0.2500 0.5657 S
0.8725 0.4573 0.6460 S
0.1248 0.7500 0.0657 S
0.3725 0.0427 0.8540 S
0.1275 0.5427 0.3540 S
0.1275 0.9573 0.3540 S
0.6275 0.9573 0.1460 S
0.6248 0.7500 0.4343 S
0.8752 0.2500 0.9343 S
0.3725 0.4573 0.8540 S
0.7388 0.2500 0.3712 Al
0.2612 0.7500 0.6288 Al
0.2388 0.2500 0.1288 Al
0.7612 0.7500 0.8712 Al
0.6246 0.2500 0.7541 Li
0.3754 0.7500 0.2459 Li
0.8754 0.7500 0.2541 Li
0.1246 0.2500 0.7459 Li
```

Results
* energy of formation: -1.60 eV/atom

No. 4
Entry from the Materials Project database: crystalline AlN4Cl4 at its relaxed geometry (PBE).

POSCAR file:
```
AlN4Cl4
1.0
-4.9499 2.9714 7.7906
-3.2071 -6.7451 6.1841
3.1747 0.1480 2.5486
Cl N Al
8 8 2
Direct
0.3747 0.3747 0.4733 Cl
0.6253 0.6253 0.5267 Cl
0.1156 0.1156 0.8035 Cl
0.8844 0.8844 0.1965 Cl
0.5000 0.0000 0.0000 Cl
0.7444 0.2556 0.5000 Cl
0.0000 0.5000 0.0000 Cl
0.2556 0.7444 0.5000 Cl
0.0000 0.5000 0.5000 N
0.7004 0.2996 0.0000 N
0.6042 0.6042 0.1494 N
0.3958 0.3958 0.8506 N
0.5000 0.0000 0.5000 N
0.0960 0.0960 0.2088 N
0.2996 0.7004 0.0000 N
0.9040 0.9040 0.7912 N
0.5000 0.5000 0.0000 Al
0.0000 0.0000 0.5000 Al
```

Results
* energy of formation: 0.94 eV/atom

No. 5
Entry from the Materials Project database: crystalline AlP3N3Cl9 at its relaxed geometry (PBE).

POSCAR file:
```
AlP3N3Cl9
1.0
11.0281 0.0000 0.0000
0.0000 12.0344 0.0000
0.0000 0.0000 12.3206
P N Cl Al
12 12 36 4
Direct
0.8234 0.0263 0.6160 P
0.3234 0.9737 0.1160 P
0.3008 0.5183 0.6163 P
0.8008 0.4817 0.1163 P
0.5332 0.0321 0.0000 P
0.8234 0.0263 0.3840 P
0.9594 0.3418 0.0000 P
0.4594 0.6582 0.5000 P
0.3008 0.5183 0.3837 P
0.8008 0.4817 0.8837 P
0.0332 0.9679 0.5000 P
0.3234 0.9737 0.8840 P
0.9015 0.3887 0.1094 N
0.4627 0.0030 0.1093 N
0.9627 0.9970 0.6093 N
0.9627 0.9970 0.3907 N
0.7572 0.0652 0.5000 N
0.2317 0.4854 0.5000 N
0.4015 0.6113 0.6094 N
0.7317 0.5146 0.0000 N
0.4627 0.0030 0.8907 N
0.4015 0.6113 0.3906 N
0.2572 0.9348 0.0000 N
0.9015 0.3887 0.8906 N
0.7993 0.1468 0.7234 Cl
0.7993 0.1468 0.2766 Cl
0.1390 0.3677 0.0000 Cl
0.9490 0.1752 0.0000 Cl
0.1950 0.0407 0.5000 Cl
0.3690 0.3797 0.3186 Cl
0.1564 0.6752 0.0000 Cl
0.2305 0.1025 0.1775 Cl
0.6748 0.4335 0.2214 Cl
0.4996 0.1095 0.6402 Cl
0.3690 0.3797 0.6814 Cl
0.5635 0.6973 0.8581 Cl
0.9996 0.8905 0.1402 Cl
0.9996 0.8905 0.8598 Cl
0.6390 0.6323 0.5000 Cl
0.1748 0.5665 0.2786 Cl
0.0756 0.8043 0.5000 Cl
0.4490 0.8248 0.5000 Cl
0.6748 0.4335 0.7786 Cl
0.9374 0.5339 0.5000 Cl
0.2993 0.8532 0.7766 Cl
0.5635 0.6973 0.1419 Cl
0.5756 0.1957 0.0000 Cl
0.6564 0.3248 0.5000 Cl
0.4996 0.1095 0.3598 Cl
0.2305 0.1025 0.8225 Cl
0.8690 0.6203 0.8186 Cl
0.8690 0.6203 0.1814 Cl
0.7305 0.8975 0.6775 Cl
0.1748 0.5665 0.7214 Cl
0.0635 0.3027 0.6419 Cl
0.2993 0.8532 0.2234 Cl
0.0635 0.3027 0.3581 Cl
0.7305 0.8975 0.3225 Cl
0.4374 0.4661 0.0000 Cl
0.6950 0.9593 0.0000 Cl
0.0700 0.4040 0.5000 Al
0.6021 0.1546 0.5000 Al
0.1021 0.8454 0.0000 Al
0.5700 0.5960 0.0000 Al
```

Results
* energy of formation: -1.15 eV/atom

No. 6
Entry from the Materials Project database: crystalline AlS5N5Cl4 at its relaxed geometry (PBE).

POSCAR file:
```
AlS5N5Cl4
1.0
9.9038 0.0000 0.0000
0.0000 14.3368 0.0000
0.0000 0.0000 21.4850
S Cl N Al
40 32 40 8
Direct
0.1992 0.5098 0.9794 S
0.0186 0.3984 0.6779 S
0.6992 0.5098 0.5206 S
0.6992 0.9902 0.5206 S
0.9814 0.6016 0.3221 S
0.9280 0.3936 0.5466 S
0.4123 0.3948 0.3687 S
0.7949 0.9693 0.7281 S
0.2949 0.5307 0.7719 S
0.0877 0.8948 0.8687 S
0.5877 0.6052 0.6313 S
0.0877 0.6052 0.8687 S
0.4123 0.1052 0.3687 S
0.7949 0.5307 0.7281 S
0.3008 0.0098 0.4794 S
0.7051 0.4693 0.2281 S
0.9280 0.1064 0.5466 S
0.9814 0.8984 0.3221 S
0.9123 0.3948 0.1313 S
0.1992 0.9902 0.9794 S
0.4280 0.1064 0.9534 S
0.2051 0.4693 0.2719 S
0.4280 0.3936 0.9534 S
0.0720 0.8936 0.4534 S
0.5186 0.3984 0.8221 S
0.4814 0.8984 0.1779 S
0.7051 0.0307 0.2281 S
0.3008 0.4902 0.4794 S
0.9123 0.1052 0.1313 S
0.4814 0.6016 0.1779 S
0.8008 0.4902 0.0206 S
0.2949 0.9693 0.7719 S
0.2051 0.0307 0.2719 S
0.5186 0.1016 0.8221 S
0.0720 0.6064 0.4534 S
0.0186 0.1016 0.6779 S
0.5720 0.6064 0.0466 S
0.8008 0.0098 0.0206 S
0.5877 0.8948 0.6313 S
0.5720 0.8936 0.0466 S
0.5880 0.6262 0.3694 Cl
0.9120 0.3738 0.8694 Cl
0.8821 0.7500 0.5682 Cl
0.1179 0.2500 0.4318 Cl
0.6179 0.2500 0.0682 Cl
0.4120 0.1262 0.6306 Cl
0.6735 0.8745 0.8882 Cl
0.0122 0.2500 0.2750 Cl
0.9878 0.7500 0.7250 Cl
0.3821 0.7500 0.9318 Cl
0.1735 0.8745 0.6118 Cl
0.8060 0.7500 0.1880 Cl
0.3265 0.1255 0.1118 Cl
0.0880 0.8738 0.1306 Cl
0.8752 0.7500 0.0277 Cl
0.9120 0.1262 0.8694 Cl
0.4120 0.3738 0.6306 Cl
0.4878 0.7500 0.7750 Cl
0.0880 0.6262 0.1306 Cl
0.5880 0.8738 0.3694 Cl
0.1735 0.6255 0.6118 Cl
0.8265 0.3745 0.3882 Cl
0.6248 0.2500 0.5277 Cl
0.6940 0.2500 0.6880 Cl
0.1940 0.2500 0.8120 Cl
0.3752 0.7500 0.4723 Cl
0.1248 0.2500 0.9723 Cl
0.3265 0.3745 0.1118 Cl
0.6735 0.6255 0.8882 Cl
0.8265 0.1255 0.3882 Cl
0.3060 0.7500 0.3120 Cl
0.5122 0.2500 0.2250 Cl
0.8942 0.4260 0.0612 N
0.0894 0.9656 0.2946 N
0.5894 0.5344 0.2054 N
0.3137 0.0328 0.9361 N
0.6863 0.5328 0.0639 N
0.8942 0.0740 0.0612 N
0.5894 0.9656 0.2054 N
0.0146 0.1270 0.6063 N
0.1863 0.9672 0.4361 N
0.4854 0.8730 0.1063 N
0.1058 0.5740 0.9388 N
0.5146 0.1270 0.8937 N
0.8137 0.0328 0.5639 N
0.6863 0.9672 0.0639 N
0.1863 0.5328 0.4361 N
0.4106 0.4656 0.7946 N
0.1868 0.5677 0.8183 N
0.0146 0.3730 0.6063 N
0.9106 0.0344 0.7054 N
0.3137 0.4672 0.9361 N
0.5146 0.3730 0.8937 N
0.1868 0.9323 0.8183 N
0.9854 0.8730 0.3937 N
0.8137 0.4672 0.5639 N
0.3942 0.4260 0.4388 N
0.3942 0.0740 0.4388 N
0.9854 0.6270 0.3937 N
0.1058 0.9260 0.9388 N
0.8132 0.4323 0.1817 N
0.3132 0.0677 0.3183 N
0.6058 0.9260 0.5612 N
0.6868 0.5677 0.6817 N
0.4854 0.6270 0.1063 N
0.4106 0.0344 0.7946 N
0.3132 0.4323 0.3183 N
0.0894 0.5344 0.2946 N
0.6868 0.9323 0.6817 N
0.9106 0.4656 0.7054 N
0.6058 0.5740 0.5612 N
0.8132 0.0677 0.1817 N
0.4445 0.2500 0.1295 Al
0.5555 0.7500 0.8705 Al
0.9445 0.2500 0.3705 Al
0.0555 0.7500 0.6295 Al
0.4663 0.7500 0.3808 Al
0.5337 0.2500 0.6192 Al
0.0337 0.2500 0.8808 Al
0.9663 0.7500 0.1192 Al
```

Results
* energy of formation: -0.30 eV/atom